# 1
MnZn3Mo9O45 | GGA+U | relaxed

**Formation energy from the elements**: -1028.9 meV per atom

Geometry as CIF:
```
data_MnZn3Mo9O45
_cell_length_a 9.9078
_cell_length_b 9.9492
_cell_length_c 10.0178
_cell_angle_alpha 104.15
_cell_angle_beta 103.71
_cell_angle_gamma 103.86
_symmetry_space_group_name_H-M 'P 1'
_symmetry_Int_Tables_number 1
_symmetry_space_group_name_Hall 'P 1'
loop_
_atom_site_label
_atom_site_type_symbol
_atom_site_fract_x
_atom_site_fract_y
_atom_site_fract_z
_atom_site_occupancy
Mn1 Mn 0.0000 0.0000 0.0000 1
Zn1 Zn 0.3899 0.9649 0.5627 1
Zn2 Zn 0.5604 0.3843 0.9563 1
Zn3 Zn 0.9761 0.5635 0.4045 1
Mo1 Mo 0.1188 0.3476 0.1428 1
Mo2 Mo 0.1421 0.1220 0.3482 1
Mo3 Mo 0.2057 0.7886 0.9907 1
Mo4 Mo 0.3500 0.1449 0.1228 1
Mo5 Mo 0.6473 0.8858 0.8472 1
Mo6 Mo 0.7866 0.9949 0.2054 1
Mo7 Mo 0.8478 0.6493 0.8877 1
Mo8 Mo 0.8864 0.8481 0.6507 1
Mo9 Mo 0.9891 0.2057 0.7885 1
O1 O 0.0149 0.8358 0.8611 1
O2 O 0.0244 0.0274 0.6758 1
O3 O 0.0267 0.6746 0.0240 1
O4 O 0.0632 0.4514 0.2827 1
O5 O 0.0710 0.7107 0.3185 1
O6 O 0.1221 0.2672 0.4671 1
O7 O 0.1403 0.1627 0.9861 1
O8 O 0.1401 0.3332 0.7803 1
O9 O 0.1608 0.9846 0.1390 1
O10 O 0.2080 0.6665 0.8375 1
O11 O 0.2626 0.2646 0.2633 1
O12 O 0.2636 0.4693 0.1250 1
O13 O 0.2821 0.0694 0.4545 1
O14 O 0.2845 0.7555 0.4407 1
O15 O 0.3112 0.4495 0.7197 1
O16 O 0.3120 0.0759 0.7093 1
O17 O 0.3241 0.9730 0.9744 1
O18 O 0.3324 0.7765 0.1382 1
O19 O 0.4208 0.5050 0.9344 1
O20 O 0.4360 0.2886 0.7503 1
O21 O 0.4462 0.7214 0.3123 1
O22 O 0.4588 0.2852 0.0721 1
O23 O 0.4696 0.1269 0.2685 1
O24 O 0.5085 0.9379 0.4240 1
O25 O 0.5182 0.7378 0.8513 1
O26 O 0.5503 0.9536 0.7167 1
O27 O 0.5557 0.4873 0.5078 1
O28 O 0.6634 0.8404 0.2069 1
O29 O 0.6725 0.0267 0.0249 1
O30 O 0.6721 0.3398 0.4550 1
O31 O 0.7085 0.3000 0.0555 1
O32 O 0.7160 0.5509 0.9543 1
O33 O 0.7355 0.7352 0.7355 1
O34 O 0.7380 0.8494 0.5210 1
O35 O 0.7544 0.4408 0.3129 1
O36 O 0.7742 0.1412 0.3317 1
O37 O 0.8326 0.8595 0.0100 1
O38 O 0.8374 0.2090 0.6655 1
O39 O 0.8525 0.5214 0.7392 1
O40 O 0.8601 0.0129 0.8340 1
O41 O 0.9187 0.4184 0.5082 1
O42 O 0.9589 0.7178 0.5564 1
O43 O 0.9682 0.3198 0.9714 1
O44 O 0.9695 0.9728 0.3201 1
O45 O 0.9823 0.1389 0.1604 1
```

---

# 2
Li9Mn2Co5O16 | GGA+U | relaxed

**Energy relative to the lowest polymorph listed for this composition**: 44 meV per atom
**Formation energy from the elements**: -1820.3 meV per atom

Geometry as CIF:
```
data_Li9Mn2Co5O16
_cell_length_a 5.1235
_cell_length_b 5.8962
_cell_length_c 10.0734
_cell_angle_alpha 104.80
_cell_angle_beta 100.70
_cell_angle_gamma 90.69
_symmetry_space_group_name_H-M 'P 1'
_symmetry_Int_Tables_number 1
_symmetry_space_group_name_Hall 'P 1'
loop_
_atom_site_label
_atom_site_type_symbol
_atom_site_fract_x
_atom_site_fract_y
_atom_site_fract_z
_atom_site_occupancy
Li1 Li 0.0000 0.0000 0.0000 1
Li2 Li 0.0019 0.0036 0.4960 1
Li3 Li 0.0057 0.4967 0.0039 1
Li4 Li 0.2475 0.8806 0.2588 1
Li5 Li 0.2511 0.3847 0.2558 1
Li6 Li 0.4983 0.2389 0.4942 1
Li7 Li 0.5150 0.7565 0.4953 1
Li8 Li 0.7568 0.6239 0.7446 1
Li9 Li 0.7596 0.1147 0.7400 1
Mn1 Mn 0.2577 0.3725 0.7469 1
Mn2 Mn 0.5056 0.7452 0.9987 1
Co1 Co 0.0079 0.4945 0.4924 1
Co2 Co 0.2411 0.8720 0.7377 1
Co3 Co 0.5050 0.2419 0.9975 1
Co4 Co 0.7500 0.6291 0.2521 1
Co5 Co 0.7549 0.1211 0.2579 1
O1 O 0.0964 0.6764 0.3702 1
O2 O 0.1117 0.2018 0.3704 1
O3 O 0.1608 0.1927 0.8721 1
O4 O 0.1628 0.6674 0.8727 1
O5 O 0.3686 0.5568 0.6313 1
O6 O 0.3787 0.0911 0.6409 1
O7 O 0.3931 0.0372 0.1034 1
O8 O 0.4042 0.5717 0.1240 1
O9 O 0.6051 0.4466 0.8848 1
O10 O 0.6101 0.9151 0.8760 1
O11 O 0.6259 0.9504 0.3661 1
O12 O 0.6389 0.4459 0.3673 1
O13 O 0.8426 0.2916 0.1180 1
O14 O 0.8532 0.7979 0.1241 1
O15 O 0.9036 0.8136 0.6317 1
O16 O 0.9151 0.3307 0.6312 1
```

---

# 3
LiCo2C2O7 | GGA+U | relaxed

**Energy relative to the lowest polymorph listed for this composition**: 0 meV per atom
**Formation energy from the elements**: -1689.4 meV per atom

Geometry as CIF:
```
data_LiCo2C2O7
_cell_length_a 4.8294
_cell_length_b 8.2850
_cell_length_c 15.6604
_cell_angle_alpha 90.00
_cell_angle_beta 91.64
_cell_angle_gamma 90.00
_symmetry_space_group_name_H-M 'C 1 c 1'
_symmetry_Int_Tables_number 9
_symmetry_space_group_name_Hall 'C -2yc'
loop_
_atom_site_label
_atom_site_type_symbol
_atom_site_fract_x
_atom_site_fract_y
_atom_site_fract_z
_atom_site_occupancy
Li1 Li 0.0000 0.0015 0.0000 1
Co1 Co 0.0131 0.3255 0.6334 1
Co2 Co 0.4828 0.1640 0.3605 1
C1 C 0.9996 0.3328 0.4124 1
C2 C 0.0040 0.3338 0.0852 1
O1 O 0.0276 0.3391 0.7522 1
O2 O 0.1273 0.1944 0.4160 1
O3 O 0.1449 0.4648 0.4134 1
O4 O 0.2323 0.1608 0.9095 1
O5 O 0.2719 0.3419 0.0825 1
O6 O 0.3577 0.0354 0.5881 1
O7 O 0.3821 0.3059 0.5832 1
```